A.
Compound: Tl2SeO4
Source: the Materials Project
Functional: r²SCAN
Structure: optimized geometry

Computed properties:
Theoretical density in Mg/m³: 6.93

a = 6.2974 Å, b = 7.8777 Å, c = 10.6612 Å
α = 90.00°, β = 90.00°, γ = 90.00°
Element x y z (fractional)
Tl 0.0253 0.0783 0.0809
Tl 0.0253 0.2452 0.7148
Tl 0.4747 0.7548 0.2148
Tl 0.4747 0.9217 0.5809
Tl 0.5253 0.2548 0.2852
Tl 0.5253 0.4217 0.9191
Tl 0.9747 0.5783 0.4191
Tl 0.9747 0.7452 0.7852
Se 0.0108 0.5447 0.0833
Se 0.4892 0.4553 0.5833
Se 0.5108 0.9553 0.9167
Se 0.9892 0.0447 0.4167
O 0.0474 0.9477 0.5513
O 0.0744 0.7447 0.0535
O 0.1984 0.0307 0.3222
O 0.2159 0.4498 0.1514
O 0.2841 0.5502 0.6514
O 0.3016 0.9693 0.8222
O 0.4256 0.2553 0.5535
O 0.4526 0.0523 0.0513
O 0.5474 0.5523 0.4487
O 0.5744 0.7553 0.9465
O 0.6984 0.4693 0.6778
O 0.7159 0.0502 0.8486
O 0.7841 0.9498 0.3486
O 0.8016 0.5307 0.1778
O 0.9256 0.2447 0.4465
O 0.9526 0.4477 0.9487



B.
Compound: Tl2SeO4
Source: the Materials Project
Functional: r²SCAN
Structure: optimized geometry

Computed properties:
Theoretical density in Mg/m³: 6.63

a = 6.0994 Å, b = 6.0994 Å, c = 8.2668 Å
α = 90.01°, β = 90.01°, γ = 116.05°
Element x y z (fractional)
Tl 0.0006 0.9994 0.5000
Tl 0.3076 0.6881 0.7521
Tl 0.6881 0.3076 0.2521
Tl 0.9994 0.0006 0.0000
Se 0.3594 0.6450 0.2527
Se 0.6450 0.3594 0.7527
O 0.2445 0.3408 0.2511
O 0.2677 0.7422 0.0918
O 0.2746 0.7389 0.4183
O 0.3408 0.2445 0.7511
O 0.6629 0.7501 0.2498
O 0.7389 0.2746 0.9183
O 0.7422 0.2677 0.5918
O 0.7501 0.6629 0.7498



Which of them is most stable? Easy: A.



A.
Compound: Sm3TaO7
Source: the Materials Project
Functional: r²SCAN
Structure: optimized geometry

Computed properties:
Theoretical density in Mg/m³: 8.11

a = 6.5591 Å, b = 6.5591 Å, c = 7.5882 Å
α = 90.00°, β = 90.00°, γ = 68.87°
Element x y z (fractional)
Sm 0.0000 0.0000 0.0000
Sm 0.0000 0.0000 0.5000
Sm 0.0672 0.4782 0.7500
Sm 0.4782 0.0672 0.2500
Sm 0.5218 0.9328 0.7500
Sm 0.9328 0.5218 0.2500
Ta 0.5000 0.5000 0.0000
Ta 0.5000 0.5000 0.5000
O 0.1079 0.1548 0.2500
O 0.1548 0.1079 0.7500
O 0.1836 0.5615 0.0362
O 0.1836 0.5615 0.4638
O 0.4254 0.5746 0.7500
O 0.4385 0.8164 0.0362
O 0.4385 0.8164 0.4638
O 0.5615 0.1836 0.5362
O 0.5615 0.1836 0.9638
O 0.5746 0.4254 0.2500
O 0.8164 0.4385 0.5362
O 0.8164 0.4385 0.9638
O 0.8452 0.8921 0.2500
O 0.8921 0.8452 0.7500



B.
Compound: Sm3TaO7
Source: the Materials Project
Functional: r²SCAN
Structure: optimized geometry

Computed properties:
Theoretical density in Mg/m³: 8.01

a = 6.5589 Å, b = 6.5589 Å, c = 7.6127 Å
α = 90.00°, β = 90.00°, γ = 109.69°
Element x y z (fractional)
Sm 0.0000 0.0000 0.0000
Sm 0.0000 0.0000 0.5000
Sm 0.0352 0.4997 0.7500
Sm 0.4997 0.0352 0.2500
Sm 0.5003 0.9648 0.7500
Sm 0.9648 0.5003 0.2500
Ta 0.5000 0.5000 0.0000
Ta 0.5000 0.5000 0.5000
O 0.1296 0.8704 0.2500
O 0.1354 0.8646 0.7500
O 0.1835 0.4295 0.0307
O 0.1835 0.4295 0.4693
O 0.4295 0.1835 0.5307
O 0.4295 0.1835 0.9693
O 0.4390 0.5610 0.7500
O 0.5610 0.4390 0.2500
O 0.5705 0.8165 0.0307
O 0.5705 0.8165 0.4693
O 0.8165 0.5705 0.5307
O 0.8165 0.5705 0.9693
O 0.8646 0.1354 0.2500
O 0.8704 0.1296 0.7500



Which of them is most stable? Easy: B.



A.
Compound: Sm2TeO6
Source: the Materials Project
Functional: r²SCAN
Structure: optimized geometry

Computed properties:
Theoretical density in Mg/m³: 6.74

a = 9.1510 Å, b = 9.1510 Å, c = 5.3468 Å
α = 90.00°, β = 90.00°, γ = 120.00°
Element x y z (fractional)
Sm 0.0000 0.2726 0.0000
Sm 0.0000 0.6095 0.5000
Sm 0.2726 0.0000 0.0000
Sm 0.3905 0.3905 0.5000
Sm 0.6095 0.0000 0.5000
Sm 0.7274 0.7274 0.0000
Te 0.0000 0.0000 0.5000
Te 0.3333 0.6667 0.9896
Te 0.6667 0.3333 0.0104
O 0.0665 0.8727 0.2905
O 0.1273 0.1939 0.2905
O 0.1371 0.5459 0.1975
O 0.1939 0.1273 0.7095
O 0.2327 0.7642 0.7785
O 0.2358 0.4685 0.7785
O 0.4089 0.8629 0.1975
O 0.4541 0.5911 0.1975
O 0.4685 0.2358 0.2215
O 0.5315 0.7673 0.7785
O 0.5459 0.1371 0.8025
O 0.5911 0.4541 0.8025
O 0.7642 0.2327 0.2215
O 0.7673 0.5315 0.2215
O 0.8061 0.9335 0.2905
O 0.8629 0.4089 0.8025
O 0.8727 0.0665 0.7095
O 0.9335 0.8061 0.7095



B.
Compound: Sm2TeO6
Source: the Materials Project
Functional: r²SCAN
Structure: optimized geometry

Computed properties:
Theoretical density in Mg/m³: 6.95

a = 5.3747 Å, b = 9.2350 Å, c = 10.0980 Å
α = 90.00°, β = 90.00°, γ = 90.00°
Element x y z (fractional)
Sm 0.0247 0.1041 0.4601
Sm 0.0346 0.2173 0.8635
Sm 0.4654 0.7827 0.3635
Sm 0.4753 0.8959 0.9601
Sm 0.5247 0.3959 0.5399
Sm 0.5346 0.2827 0.1365
Sm 0.9654 0.7173 0.6365
Sm 0.9753 0.6041 0.0399
Te 0.0414 0.4954 0.3552
Te 0.4586 0.5046 0.8552
Te 0.5414 0.0046 0.6448
Te 0.9586 0.9954 0.1448
O 0.0736 0.8493 0.0244
O 0.1669 0.9472 0.2900
O 0.1822 0.6378 0.2414
O 0.1894 0.6389 0.8226
O 0.2231 0.1124 0.0668
O 0.2472 0.5856 0.4921
O 0.2528 0.4144 0.9921
O 0.2769 0.8876 0.5668
O 0.3106 0.3611 0.3226
O 0.3178 0.3622 0.7414
O 0.3331 0.0528 0.7900
O 0.4264 0.1507 0.5244
O 0.5736 0.6507 0.9756
O 0.6669 0.5528 0.7100
O 0.6822 0.8622 0.7586
O 0.6894 0.8611 0.1774
O 0.7231 0.3876 0.9332
O 0.7472 0.9144 0.5079
O 0.7528 0.0856 0.0079
O 0.7769 0.6124 0.4332
O 0.8106 0.1389 0.6774
O 0.8178 0.1378 0.2586
O 0.8331 0.4472 0.2100
O 0.9264 0.3493 0.4756



Which of them is most stable? Easy: B.